LuHfF7 after structural relaxation, computed with GGA-PBE.

Calculated values
**Energy with MP2020 corrections**: -133.5 eV/cell
**Density**: 6.09 g cm⁻³

Cell lengths 5.5930, 5.9672, 8.1351 Å; angles 102.11, 90.00, 90.00 degrees
Atoms (fractional coordinates):
Lu 0.1967 0.3457 0.3172
Lu 0.6967 0.6543 0.6828
F 0.0051 0.6190 0.2192
F 0.2029 0.2449 0.0260
F 0.2093 0.1385 0.5247
F 0.4289 0.9218 0.7675
F 0.9289 0.0782 0.2325
F 0.4926 0.5404 0.2129
F 0.3902 0.5450 0.5218
F 0.4434 0.0451 0.2403
F 0.8902 0.4550 0.4782
F 0.9926 0.4596 0.7871
F 0.7029 0.7551 0.9740
F 0.5051 0.3810 0.7808
F 0.7093 0.8615 0.4753
F 0.9434 0.9549 0.7597
Hf 0.2071 0.1884 0.7761
Hf 0.7071 0.8116 0.2239